1.
## LaTa3O9 (r2SCAN)

Data for an optimized crystal structure of LaTa3O9.

Properties
Its space-group type is C2/m. For the total magnetization, the calculation gives 0.00 μB/cell. The energy relative to the elements is -43.00 eV/f.u.

abc: 8.782 8.782 9.693
angles: 57.03 57.03 36.83
Fractional coordinates of all 26 atoms:
Ta: 0.416 0.416 0.252
Ta: 0.252 0.252 0.735
Ta: 0.748 0.748 0.265
Ta: 0.924 0.924 0.740
Ta: 0.076 0.076 0.260
Ta: 0.584 0.584 0.748
O: 0.731 0.250 0.768
O: 0.500 0.500 0.000
O: 0.906 0.424 0.766
O: 0.924 0.424 0.228
O: 0.175 0.175 0.000
O: 0.576 0.076 0.772
O: 0.424 0.906 0.766
O: 0.076 0.576 0.772
O: 0.250 0.731 0.768
O: 0.665 0.665 0.503
O: 0.424 0.924 0.228
O: 0.094 0.576 0.234
O: 0.576 0.094 0.234
O: 0.750 0.269 0.232
O: 0.825 0.825 0.000
O: 0.269 0.750 0.232
O: 0.335 0.335 0.497
O: 0.000 0.000 0.500
La: 0.668 0.668 0.999
La: 0.332 0.332 0.001


2.
## TbGe2Pt (r2SCAN)

Data for an optimized crystal structure of TbGe2Pt.

Properties
Its space-group type is Immm. For the total magnetization, the calculation gives 0.00 μB/cell. The energy relative to the elements is -3.84 eV/f.u.

abc: 4.348 8.702 9.511
angles: 117.22 103.21 90.00
Fractional coordinates of all 16 atoms:
Tb: 0.000 0.265 0.000
Tb: 0.798 0.298 0.596
Tb: 0.202 0.702 0.404
Tb: 0.000 0.735 0.000
Ge: 0.200 0.049 0.399
Ge: 0.800 0.649 0.601
Ge: 0.800 0.951 0.601
Ge: 0.573 0.073 0.146
Ge: 0.426 0.426 0.851
Ge: 0.200 0.351 0.399
Ge: 0.427 0.927 0.854
Ge: 0.574 0.574 0.149
Pt: 0.352 0.604 0.703
Pt: 0.648 0.901 0.297
Pt: 0.648 0.396 0.297
Pt: 0.352 0.099 0.703


3.
## Tb2Ga3Co14 (r2SCAN)

Data for an optimized crystal structure of Tb2Ga3Co14.

Properties
Its space-group type is R3m. For the total magnetization, the calculation gives 22.27 μB/cell. The energy relative to the elements is -3.31 eV/f.u.

abc: 6.334 6.334 6.334
angles: 83.08 83.08 83.08
Fractional coordinates of all 19 atoms:
Tb: 0.660 0.660 0.660
Tb: 0.336 0.336 0.336
Co: 0.908 0.908 0.908
Co: 0.338 0.857 0.338
Co: 0.857 0.338 0.338
Co: 0.713 0.003 0.285
Co: 0.003 0.497 0.003
Co: 0.338 0.338 0.857
Co: 0.497 0.003 0.003
Co: 0.713 0.285 0.003
Co: 0.285 0.003 0.713
Co: 0.285 0.713 0.003
Co: 0.097 0.097 0.097
Co: 0.003 0.003 0.497
Co: 0.003 0.285 0.713
Co: 0.003 0.713 0.285
Ga: 0.651 0.158 0.651
Ga: 0.158 0.651 0.651
Ga: 0.651 0.651 0.158


4.
## In6S7 (r2SCAN)

Data for an optimized crystal structure of In6S7.

Properties
Its space-group type is P2_1/m. For the total magnetization, the calculation gives 0.00 μB/cell. The energy relative to the elements is -8.91 eV/f.u.

abc: 3.907 9.161 17.401
angles: 78.06 90.00 90.00
Fractional coordinates of all 26 atoms:
In: 0.250 0.532 0.276
In: 0.750 0.645 0.046
In: 0.250 0.355 0.954
In: 0.750 0.327 0.531
In: 0.250 0.673 0.469
In: 0.250 0.184 0.188
In: 0.250 0.932 0.122
In: 0.750 0.468 0.724
In: 0.250 0.976 0.603
In: 0.750 0.068 0.878
In: 0.750 0.024 0.397
In: 0.750 0.816 0.812
S: 0.250 0.443 0.090
S: 0.250 0.169 0.468
S: 0.250 0.464 0.589
S: 0.750 0.557 0.910
S: 0.750 0.116 0.652
S: 0.250 0.760 0.728
S: 0.750 0.831 0.532
S: 0.250 0.246 0.825
S: 0.750 0.240 0.272
S: 0.750 0.754 0.175
S: 0.250 0.884 0.348
S: 0.250 0.834 0.996
S: 0.750 0.536 0.411
S: 0.750 0.166 0.004


5.
## TbB2Os (r2SCAN)

Data for an optimized crystal structure of TbB2Os.

Properties
Its space-group type is Pnma. For the total magnetization, the calculation gives 0.00 μB/cell. The energy relative to the elements is -2.54 eV/f.u.

abc: 5.316 5.902 6.385
angles: 90.00 90.00 90.00
Fractional coordinates of all 16 atoms:
Os: 0.750 0.323 0.319
Os: 0.250 0.177 0.819
Os: 0.250 0.677 0.681
Os: 0.750 0.823 0.181
Tb: 0.250 0.009 0.336
Tb: 0.250 0.509 0.164
Tb: 0.750 0.991 0.664
Tb: 0.750 0.491 0.836
B: 0.917 0.136 0.040
B: 0.583 0.136 0.040
B: 0.417 0.864 0.960
B: 0.917 0.636 0.460
B: 0.417 0.364 0.540
B: 0.583 0.636 0.460
B: 0.083 0.364 0.540
B: 0.083 0.864 0.960


6.
## TlSn (r2SCAN)

Data for an optimized crystal structure of TlSn.

Properties
Its space-group type is P4/mmm. For the total magnetization, the calculation gives 0.00 μB/cell. The energy relative to the elements is 0.27 eV/f.u.

abc: 3.393 3.393 5.030
angles: 90.00 90.00 90.00
Fractional coordinates of all 2 atoms:
Sn: 0.500 0.500 0.500
Tl: 0.000 0.000 0.000


7.
## Li7Mn2N3 (r2SCAN)

Data for an optimized crystal structure of Li7Mn2N3.

Properties
Its space-group type is P6/mmm. For the total magnetization, the calculation gives 8.06 μB/cell. The energy relative to the elements is -5.80 eV/f.u.

abc: 3.853 6.363 6.362
angles: 60.00 90.00 90.00
Fractional coordinates of all 12 atoms:
Li: 0.000 0.000 0.672
Li: 0.000 0.672 0.328
Li: 0.000 0.328 0.000
Li: 0.000 0.328 0.672
Li: 0.000 0.000 0.328
Li: 0.000 0.672 0.000
Li: 0.500 0.000 0.000
N: 0.000 0.667 0.667
N: 0.000 0.333 0.333
N: 0.000 0.000 0.000
Mn: 0.500 0.667 0.667
Mn: 0.500 0.333 0.333


8.
## SrZn11 (r2SCAN)

Data for an optimized crystal structure of SrZn11.

Properties
Its space-group type is C2/m. For the total magnetization, the calculation gives 0.00 μB/cell. The energy relative to the elements is -2.34 eV/f.u.

abc: 6.813 8.226 8.226
angles: 80.29 65.59 65.59
Fractional coordinates of all 24 atoms:
Zn: 0.196 0.666 0.580
Zn: 0.275 0.921 0.667
Zn: 0.862 0.334 0.079
Zn: 0.559 0.579 0.667
Zn: 0.000 0.500 0.500
Zn: 0.000 0.000 0.000
Zn: 0.441 0.421 0.333
Zn: 0.804 0.920 0.834
Zn: 0.725 0.833 0.579
Zn: 0.138 0.421 0.166
Zn: 0.138 0.666 0.921
Zn: 0.000 0.000 0.500
Zn: 0.500 0.500 0.000
Zn: 0.876 0.251 0.751
Zn: 0.275 0.167 0.421
Zn: 0.725 0.079 0.333
Zn: 0.441 0.833 0.921
Zn: 0.196 0.080 0.166
Zn: 0.804 0.334 0.420
Zn: 0.124 0.749 0.249
Zn: 0.559 0.167 0.079
Zn: 0.862 0.579 0.834
Sr: 0.376 0.249 0.749
Sr: 0.624 0.751 0.251